i:
The following is a GGA-PBE calculation of crystalline Mn2RuN3 at its relaxed geometry, from the Materials Project.

Cell lengths 5.1879, 5.5172, 4.9234 Å; angles 90.00, 90.00, 122.12 degrees
Fractional positions:
1 Mn 0.3575 0.3856 0.5202
2 N 0.6686 0.9432 0.8814
3 Mn 0.3575 0.9719 0.0202
4 Mn 0.6425 0.6144 0.0202
5 Ru 0.0000 0.3579 0.9429
6 N 0.0000 0.2885 0.3418
7 Mn 0.6425 0.0281 0.5202
8 N 0.0000 0.7115 0.8418
9 Ru 0.0000 0.6421 0.4429
10 N 0.6686 0.7254 0.3814
11 N 0.3314 0.2746 0.8814
12 N 0.3314 0.0568 0.3814

M_tot, Bohr magnetons per cell: 0.68
Volume, A^3/atom: 9.9

ii:
The following is a GGA-PBE calculation of crystalline Mn2RuN3 at its relaxed geometry, from the Materials Project.

Cell lengths 6.2337, 11.0910, 7.7244 Å; angles 90.00, 89.39, 152.82 degrees
Fractional positions:
1 Mn 0.7117 0.1551 0.8689
2 N 0.0000 0.6356 0.7500
3 N 0.2444 0.9734 0.0075
4 Mn 0.3894 0.0394 0.3834
5 N 0.0000 0.3644 0.2500
6 Mn 0.3894 0.3499 0.8834
7 N 0.0000 0.0491 0.7500
8 Ru 0.3870 0.7055 0.8647
9 Mn 0.7117 0.5566 0.3689
10 Ru 0.6130 0.3185 0.6353
11 Ru 0.3870 0.6815 0.3647
12 N 0.6442 0.1537 0.6286
13 N 0.7556 0.0266 0.9925
14 N 0.3558 0.5095 0.8714
15 N 0.0000 0.9509 0.2500
16 N 0.3558 0.8463 0.3714
17 Ru 0.6130 0.2945 0.1353
18 Mn 0.6106 0.6501 0.1166
19 N 0.6442 0.4905 0.1286
20 N 0.2444 0.2709 0.5075
21 Mn 0.2883 0.4434 0.6311
22 Mn 0.6106 0.9606 0.6166
23 N 0.7556 0.7291 0.4925
24 Mn 0.2883 0.8449 0.1311

M_tot, Bohr magnetons per cell: 2.64
Volume, A^3/atom: 10.2

Q: Which of them is the least stable? A: ii.